1.
The following is a DFT calculation (r²SCAN) of an optimized crystal structure of Sm2InHg.

Properties
- Energy of formation from the pure elements: -598 meV per atom
- Total magnetization: 0.83 μB per cell
- V: 27.51 Å³ per atom

Lattice parameters (Å, degrees): 5.3790 5.3790 5.3790 60.00 60.00 60.00
Last column: nearest neighbours and their distance in Å.
Fractional positions:
Sm 0.2500 0.2500 0.2500  4 Hg 3.29, 4 In 3.29
Sm 0.7500 0.7500 0.7500  4 In 3.29, 4 Hg 3.29
In 0.0000 0.0000 0.0000  8 Sm 3.29
Hg 0.5000 0.5000 0.5000  8 Sm 3.29

=====

2.
The following is a DFT calculation (r²SCAN) of an optimized crystal structure of GdSF.

Properties
- Energy of formation from the pure elements: -3292 meV per atom
- Total magnetization: 14.00 μB per cell
- V: 16.80 Å³ per atom

Lattice parameters (Å, degrees): 3.8334 3.8334 6.8587 90.00 90.00 90.00
Last column: nearest neighbours and their distance in Å.
Fractional positions:
Gd 0.7500 0.7500 0.7713  4 F 2.48
Gd 0.2500 0.2500 0.2287  4 F 2.48
S 0.2500 0.2500 0.6467  5 Gd 2.84-2.87, 4 F 3.09
S 0.7500 0.7500 0.3533  5 Gd 2.84-2.87, 4 F 3.09
F 0.7500 0.2500 0.0000  4 Gd 2.48, 4 F 2.71
F 0.2500 0.7500 0.0000  4 Gd 2.48, 4 F 2.71

=====

3.
The following is a DFT calculation (r²SCAN) of an optimized crystal structure of Al6Fe.

Properties
- Energy of formation from the pure elements: -137 meV per atom
- Total magnetization: 0.00 μB per cell
- V: 14.61 Å³ per atom

Lattice parameters (Å, degrees): 4.8755 4.8755 8.6881 90.00 90.00 98.06
Last column: nearest neighbours and their distance in Å.
Fractional positions:
Al 0.6768 0.3233 0.0000  2 Fe 2.54, 7 Al 2.60-2.75
Al 0.6767 0.3232 0.5000  2 Fe 2.54, 7 Al 2.60-2.75
Al 0.0265 0.3907 0.7500  2 Fe 2.50-2.58, 3 Al 2.68-2.75
Al 0.3232 0.6767 0.5000  2 Fe 2.54, 7 Al 2.60-2.75
Al 0.3907 0.0265 0.7500  2 Fe 2.50-2.58, 3 Al 2.68-2.75
Al 0.6093 0.9735 0.2500  2 Fe 2.50-2.58, 3 Al 2.68-2.75
Al 0.8528 0.8528 0.9012  1 Fe 2.40, 2 Al 2.55-2.63
Al 0.3233 0.6768 0.0000  2 Fe 2.54, 7 Al 2.60-2.75
Al 0.9735 0.6093 0.2500  2 Fe 2.50-2.58, 3 Al 2.68-2.75
Al 0.8527 0.8527 0.5988  1 Fe 2.40, 2 Al 2.55-2.63
Al 0.1473 0.1473 0.0988  1 Fe 2.40, 2 Al 2.55-2.63
Al 0.1472 0.1472 0.4012  1 Fe 2.40, 2 Al 2.55-2.63
Fe 0.5383 0.5383 0.7500  10 Al 2.40-2.58
Fe 0.4617 0.4617 0.2500  10 Al 2.40-2.58

=====

4.
The following is a DFT calculation (r²SCAN) of an optimized crystal structure of ZnCr5GaSe10.

Properties
- Energy of formation from the pure elements: -830 meV per atom
- Total magnetization: 60.00 μB per cell
- V: 21.44 Å³ per atom

Lattice parameters (Å, degrees): 7.4419 26.8401 7.4421 97.97 90.00 82.03
Last column: nearest neighbours and their distance in Å.
Fractional positions:
Se 0.6484 0.2035 0.8360  3 Cr 2.48
Se 0.1520 0.1960 0.8295  1 Ga 2.42, 3 Cr 2.58-2.61
Se 0.3524 0.7957 0.6284  1 Zn 2.46, 3 Cr 2.53-2.58
Se 0.6322 0.7027 0.3513  1 Ga 2.46, 3 Cr 2.56-2.57
Se 0.3710 0.2965 0.6483  1 Zn 2.45, 3 Cr 2.51
Se 0.6324 0.6967 0.8484  1 Zn 2.45, 3 Cr 2.51
Se 0.8480 0.8041 0.1708  1 Zn 2.45, 3 Cr 2.53-2.54
Se 0.4362 0.0964 0.0482  3 Cr 2.48-2.49
Se 0.0334 0.8959 0.4480  1 Zn 2.45, 3 Cr 2.53-2.54
Se 0.2356 0.4964 0.2482  3 Cr 2.48
Se 0.6484 0.2035 0.3676  3 Cr 2.48
Se 0.7513 0.9972 0.2323  1 Ga 2.46, 3 Cr 2.56-2.57
Se 0.9519 0.5961 0.5668  1 Ga 2.41, 3 Cr 2.57-2.61
Se 0.3524 0.7957 0.1673  1 Zn 2.46, 3 Cr 2.53-2.58
Se 0.1520 0.1960 0.3665  1 Ga 2.42, 3 Cr 2.58-2.61
Se 0.7673 0.4964 0.2482  3 Cr 2.48
Se 0.7664 0.5039 0.7520  1 Ga 2.42, 3 Cr 2.58-2.61
Se 0.5518 0.3968 0.9654  1 Ga 2.46, 3 Cr 2.57-2.61
Se 0.8480 0.8041 0.6333  1 Zn 2.45, 3 Cr 2.53-2.54
Se 0.1650 0.7027 0.3514  1 Ga 2.46, 3 Cr 2.56-2.57
Se 0.7513 0.9972 0.7649  1 Ga 2.46, 3 Cr 2.56-2.57
Se 0.8312 0.3032 0.1516  1 Ga 2.46, 3 Cr 2.57-2.61
Se 0.0483 0.4036 0.9707  1 Zn 2.45, 3 Cr 2.50-2.51
Se 0.5671 0.9043 0.9522  1 Zn 2.46, 3 Cr 2.54-2.58
Se 0.8332 0.2964 0.6482  1 Zn 2.45, 3 Cr 2.50-2.51
Se 0.2483 0.0033 0.2328  1 Zn 2.45, 3 Cr 2.51
Se 0.4481 0.6037 0.5678  3 Cr 2.48-2.49
Se 0.9668 0.1040 0.5520  1 Ga 2.41, 3 Cr 2.57-2.61
Se 0.9519 0.5961 0.0292  1 Ga 2.41, 3 Cr 2.57-2.61
Se 0.9681 0.0964 0.0482  3 Cr 2.48-2.49
Se 0.0282 0.9042 0.9521  1 Zn 2.46, 3 Cr 2.53-2.58
Se 0.0483 0.4036 0.4329  1 Zn 2.45, 3 Cr 2.50-2.51
Se 0.4481 0.6037 0.0359  3 Cr 2.48-2.49
Se 0.4293 0.1039 0.5520  1 Ga 2.42, 3 Cr 2.57-2.61
Se 0.3654 0.3032 0.1516  1 Ga 2.46, 3 Cr 2.57-2.61
Se 0.1702 0.6968 0.8484  1 Zn 2.45, 3 Cr 2.51
Se 0.2483 0.0033 0.7705  1 Zn 2.45, 3 Cr 2.51
Se 0.5709 0.8959 0.4480  1 Zn 2.44, 3 Cr 2.53
Se 0.5518 0.3968 0.4313  1 Ga 2.46, 3 Cr 2.57-2.61
Se 0.2293 0.5040 0.7520  1 Ga 2.42, 3 Cr 2.58-2.61
Ga 0.1258 0.2479 0.1239  4 Se 2.42-2.46
Ga 0.9264 0.6474 0.3237  4 Se 2.41-2.46
Ga 0.5236 0.4521 0.7261  4 Se 2.42-2.46
Ga 0.7239 0.0526 0.5263  4 Se 2.41-2.46
Cr 0.0999 0.8000 0.4000  6 Se 2.53-2.56
Cr 0.8867 0.2013 0.6006  6 Se 2.48-2.61
Cr 0.0004 0.4987 0.4866  6 Se 2.48-2.61
Cr 0.4008 0.6980 0.0951  6 Se 2.49-2.58
Cr 0.6863 0.6015 0.8007  6 Se 2.48-2.61
Cr 0.4951 0.0020 0.0010  6 Se 2.49-2.58
Cr 0.4123 0.2013 0.6007  6 Se 2.48-2.61
Cr 0.0027 0.0020 0.0010  6 Se 2.49-2.58
Cr 0.7999 0.9000 0.2004  6 Se 2.53-2.56
Cr 0.8031 0.4022 0.2011  6 Se 2.48-2.61
Cr 0.6012 0.2977 0.8948  6 Se 2.48-2.61
Cr 0.0004 0.4987 0.0121  6 Se 2.48-2.61
Cr 0.2121 0.6015 0.8007  6 Se 2.48-2.61
Cr 0.2010 0.0986 0.2864  6 Se 2.48-2.61
Cr 0.2010 0.0986 0.8121  6 Se 2.48-2.61
Cr 0.6012 0.2977 0.4030  6 Se 2.48-2.61
Cr 0.4008 0.6980 0.6029  6 Se 2.49-2.58
Cr 0.2948 0.4022 0.2011  6 Se 2.48-2.61
Cr 0.6005 0.8000 0.4000  6 Se 2.53-2.56
Cr 0.7999 0.9000 0.6996  6 Se 2.53-2.56
Zn 0.2758 0.9495 0.4747  4 Se 2.44-2.45
Zn 0.8742 0.7505 0.8753  4 Se 2.45
Zn 0.0751 0.3501 0.6750  4 Se 2.45
Zn 0.3247 0.8500 0.9250  4 Se 2.46